Density functional theory data (PBE) for an optimized crystal structure of Al7CoCu2.

```
data_Al7CoCu2
_chemical_formula_sum 'Al28 Co4 Cu8'
_symmetry_space_group_name_H-M 'P 4/m n c'
_symmetry_Int_Tables_number 128
_symmetry_space_group_name_Hall '-P 4 2n'
_cell_length_a 6.310
_cell_length_b 6.310
_cell_length_c 14.740
_cell_angle_alpha 90.00
_cell_angle_beta 90.00
_cell_angle_gamma 90.00
loop_
_atom_site_label
_atom_site_type_symbol
_atom_site_fract_x
_atom_site_fract_y
_atom_site_fract_z
Al1 Al 0.000 0.000 0.132
Al2 Al 0.086 0.295 0.400
Al3 Al 0.155 0.655 0.250
Co1 Co 0.000 0.000 0.298
Cu1 Cu 0.092 0.729 0.000
```

Values from the calculation:
Mass density ... 4.24 g/cm³
ΔH_f (0 K) ... -2.78 eV/f.u.
Electronic total energy ... -44.309 eV/f.u.